Computed, not measured: a relaxed structure of LiAlSi2O6 at the GGA-PBE level of DFT.

Volume: 154 Å³/f.u.
Crystal system: triclinic
Magnetization: 0.000 μB per atom
Space-group type: No. 1
Maximum piezoelectric response: 0.3 C/m2
Offset from the most stable computed form: 0.023 eV/atom
Calculated formation energy: -309 kJ/mol of atoms

a b c (Å): 5.039 7.701 8.705
angles (deg): 114.10 90.07 90.15
Element x y z (fractional)
Li 0.000 0.000 0.000
Li 0.497 0.822 0.429
Al 0.007 0.994 0.342
Al 0.490 0.019 0.823
Si 0.448 0.438 0.835
Si 0.507 0.858 0.103
Si 0.951 0.424 0.618
Si 0.990 0.828 0.614
O 0.039 0.235 0.460
O 0.153 0.480 0.778
O 0.307 0.883 0.637
O 0.324 0.894 0.269
O 0.371 0.957 0.987
O 0.442 0.259 0.886
O 0.540 0.629 0.998
O 0.652 0.401 0.679
O 0.804 0.949 0.163
O 0.830 0.951 0.790
O 0.867 0.874 0.460
O 0.946 0.601 0.559